{"formula": "K3Be3B3P6O25", "functional": "PBE", "state": "optimized geometry", "lattice": [[-9.524, 3.023, 7.869], [4.553, -8.147, 8.641], [7.094, 9.287, 5.018]], "species": ["O", "O", "O", "O", "O", "O", "O", "O", "O", "O", "O", "O", "O", "O", "O", "O", "O", "O", "O", "O", "O", "O", "O", "O", "O", "O", "O", "O", "O", "O", "O", "O", "O", "O", "O", "O", "O", "O", "O", "O", "O", "O", "O", "O", "O", "O", "O", "O", "O", "O", "O", "O", "O", "O", "O", "O", "O", "O", "O", "O", "O", "O", "O", "O", "O", "O", "O", "O", "O", "O", "O", "O", "O", "O", "O", "O", "O", "O", "O", "O", "O", "O", "O", "O", "O", "O", "O", "O", "O", "O", "O", "O", "O", "O", "O", "O", "O", "O", "O", "O", "K", "K", "K", "K", "K", "K", "K", "K", "K", "K", "K", "K", "B", "B", "B", "B", "B", "B", "B", "B", "B", "B", "B", "B", "P", "P", "P", "P", "P", "P", "P", "P", "P", "P", "P", "P", "P", "P", "P", "P", "P", "P", "P", "P", "P", "P", "P", "P", "Be", "Be", "Be", "Be", "Be", "Be", "Be", "Be", "Be", "Be", "Be", "Be"], "frac_coords": [[0.478, 0.371, 0.121], [0.248, 0.873, 0.145], [0.522, 0.871, 0.379], [0.165, 0.058, 0.872], [0.808, 0.585, 0.122], [0.872, 0.165, 0.058], [0.335, 0.942, 0.372], [0.628, 0.835, 0.558], [0.125, 0.125, 0.125], [0.121, 0.478, 0.371], [0.629, 0.621, 0.228], [0.577, 0.351, 0.285], [0.621, 0.228, 0.629], [0.465, 0.601, 0.327], [0.415, 0.622, 0.692], [0.621, 0.022, 0.629], [0.085, 0.378, 0.192], [0.875, 0.625, 0.375], [0.327, 0.465, 0.601], [0.372, 0.335, 0.942], [0.377, 0.002, 0.105], [0.625, 0.375, 0.875], [0.378, 0.192, 0.085], [0.077, 0.149, 0.715], [0.748, 0.627, 0.855], [0.879, 0.978, 0.129], [0.728, 0.871, 0.379], [0.629, 0.621, 0.022], [0.123, 0.998, 0.605], [0.622, 0.692, 0.415], [0.855, 0.748, 0.627], [0.192, 0.085, 0.378], [0.623, 0.502, 0.395], [0.785, 0.923, 0.649], [0.215, 0.423, 0.851], [0.129, 0.879, 0.978], [0.285, 0.577, 0.351], [0.375, 0.875, 0.625], [0.355, 0.752, 0.373], [0.371, 0.121, 0.478], [0.915, 0.878, 0.308], [0.879, 0.772, 0.129], [0.535, 0.101, 0.173], [0.878, 0.308, 0.915], [0.423, 0.851, 0.215], [0.351, 0.285, 0.577], [0.692, 0.415, 0.622], [0.228, 0.629, 0.621], [0.645, 0.252, 0.127], [0.835, 0.558, 0.628], [0.978, 0.129, 0.879], [0.149, 0.715, 0.077], [0.105, 0.377, 0.002], [0.121, 0.272, 0.371], [0.895, 0.877, 0.498], [0.145, 0.248, 0.873], [0.998, 0.605, 0.123], [0.665, 0.442, 0.128], [0.395, 0.623, 0.502], [0.442, 0.128, 0.665], [0.022, 0.629, 0.621], [0.035, 0.399, 0.827], [0.715, 0.077, 0.149], [0.627, 0.855, 0.748], [0.272, 0.371, 0.121], [0.058, 0.872, 0.165], [0.851, 0.215, 0.423], [0.601, 0.327, 0.465], [0.101, 0.173, 0.535], [0.122, 0.808, 0.585], [0.965, 0.899, 0.673], [0.379, 0.728, 0.871], [0.379, 0.522, 0.871], [0.252, 0.127, 0.645], [0.399, 0.827, 0.035], [0.877, 0.498, 0.895], [0.923, 0.649, 0.785], [0.827, 0.035, 0.399], [0.605, 0.123, 0.998], [0.308, 0.915, 0.878], [0.942, 0.372, 0.335], [0.371, 0.121, 0.272], [0.129, 0.879, 0.772], [0.772, 0.129, 0.879], [0.002, 0.105, 0.377], [0.649, 0.785, 0.923], [0.373, 0.355, 0.752], [0.871, 0.379, 0.728], [0.871, 0.379, 0.522], [0.173, 0.535, 0.101], [0.127, 0.645, 0.252], [0.673, 0.965, 0.899], [0.498, 0.895, 0.877], [0.873, 0.145, 0.248], [0.502, 0.395, 0.623], [0.558, 0.628, 0.835], [0.585, 0.122, 0.808], [0.128, 0.665, 0.442], [0.752, 0.373, 0.355], [0.899, 0.673, 0.965], [0.875, 0.375, 0.125], [0.650, 0.850, 0.150], [0.150, 0.650, 0.850], [0.125, 0.875, 0.375], [0.100, 0.400, 0.600], [0.400, 0.600, 0.100], [0.600, 0.100, 0.400], [0.350, 0.350, 0.350], [0.625, 0.625, 0.625], [0.375, 0.125, 0.875], [0.900, 0.900, 0.900], [0.850, 0.150, 0.650], [0.609, 0.875, 0.859], [0.625, 0.141, 0.109], [0.891, 0.125, 0.359], [0.359, 0.891, 0.125], [0.875, 0.859, 0.609], [0.109, 0.625, 0.141], [0.391, 0.375, 0.641], [0.141, 0.109, 0.625], [0.125, 0.359, 0.891], [0.859, 0.609, 0.875], [0.375, 0.641, 0.391], [0.641, 0.391, 0.375], [0.340, 0.589, 0.606], [0.160, 0.411, 0.106], [0.089, 0.894, 0.660], [0.839, 0.090, 0.144], [0.339, 0.410, 0.856], [0.856, 0.339, 0.410], [0.411, 0.106, 0.160], [0.356, 0.161, 0.590], [0.589, 0.606, 0.340], [0.894, 0.660, 0.089], [0.144, 0.839, 0.090], [0.644, 0.661, 0.910], [0.910, 0.644, 0.661], [0.660, 0.089, 0.894], [0.106, 0.160, 0.411], [0.661, 0.910, 0.644], [0.590, 0.356, 0.161], [0.394, 0.840, 0.911], [0.911, 0.394, 0.840], [0.606, 0.340, 0.589], [0.410, 0.856, 0.339], [0.161, 0.590, 0.356], [0.090, 0.144, 0.839], [0.840, 0.911, 0.394], [0.434, 0.625, 0.816], [0.125, 0.684, 0.566], [0.566, 0.125, 0.684], [0.875, 0.184, 0.934], [0.625, 0.816, 0.434], [0.184, 0.934, 0.875], [0.934, 0.875, 0.184], [0.684, 0.566, 0.125], [0.375, 0.316, 0.066], [0.066, 0.375, 0.316], [0.816, 0.434, 0.625], [0.316, 0.066, 0.375]], "formation_energy_mev_per_atom": -2714, "crystal_system": "cubic", "e_tot_ev_per_atom": -7.05}


{"formula": "Eu2ZnGe3", "functional": "PBE", "state": "optimized geometry", "lattice": [[4.229, -7.312, 0.000], [4.229, 7.312, 0.000], [0.000, 0.000, 9.034]], "species": ["Zn", "Zn", "Zn", "Zn", "Ge", "Ge", "Ge", "Ge", "Ge", "Ge", "Ge", "Ge", "Ge", "Ge", "Ge", "Ge", "Eu", "Eu", "Eu", "Eu", "Eu", "Eu", "Eu", "Eu"], "frac_coords": [[0.833, 0.167, 0.532], [0.333, 0.667, 0.968], [0.167, 0.833, 0.468], [0.667, 0.333, 0.032], [0.670, 0.839, 0.474], [0.330, 0.161, 0.526], [0.830, 0.661, 0.974], [0.339, 0.170, 0.974], [0.669, 0.331, 0.467], [0.331, 0.669, 0.533], [0.170, 0.339, 0.026], [0.161, 0.330, 0.474], [0.661, 0.830, 0.026], [0.839, 0.670, 0.526], [0.169, 0.831, 0.033], [0.831, 0.169, 0.967], [0.502, 0.998, 0.250], [0.501, 0.499, 0.742], [0.499, 0.501, 0.258], [0.001, 0.999, 0.758], [0.999, 0.001, 0.242], [0.002, 0.498, 0.250], [0.998, 0.502, 0.750], [0.498, 0.002, 0.750]], "e_above_lowest_polymorph_ev_per_fu": 0.11, "formation_energy_mev_per_atom": -557, "crystal_system": "orthorhombic", "e_tot_ev_per_atom": -6.50}


{"formula": "Cs", "functional": "PBE", "state": "optimized geometry", "lattice": [[2.737, -4.741, 0.000], [2.737, 4.741, 0.000], [0.000, 0.000, 17.756]], "species": ["Cs", "Cs", "Cs", "Cs"], "frac_coords": [[0.000, 0.000, 0.000], [0.333, 0.667, 0.250], [0.667, 0.333, 0.750], [0.000, 0.000, 0.500]], "e_above_lowest_polymorph_ev_per_fu": 0.03, "formation_energy_mev_per_atom": 26, "crystal_system": "hexagonal", "e_tot_ev_per_atom": -0.87}